Entry 1:
The following is a DFT calculation (PBE) of Na5Nb2Si5Ge2PO24 after structural relaxation.

size of the total moment = 0.000 Bohr magnetons per cell
crystal system = triclinic
corrected total energy (MP2020 scheme) = -7.5660 eV/atom

Cell: 8.8492 8.8508 22.0980 Å, 89.98 90.12 119.97°
Last column: nearest neighbours and their distance in Å.
Fractional coordinates of all 117 atoms:
Na (0.6360, 0.0016, 0.2477)  4 O 2.33-2.51
Na (0.3671, 0.3648, 0.2469)  5 O 2.38-2.57
Na (0.9964, 0.6314, 0.2472)  5 O 2.35-2.56
Na (0.9999, 0.3665, 0.7500)  4 O 2.31-2.50
Na (0.0313, 0.6979, 0.5785)  5 O 2.34-2.53
Na (0.6638, 0.9665, 0.5786)  5 O 2.35-2.49
Na (0.9650, 0.6657, 0.9200)  6 O 2.39-2.63
Na (0.7005, 0.0332, 0.9185)  6 O 2.40-2.64
Na (0.3315, 0.2997, 0.9211)  6 O 2.41-2.59
Na (0.0086, 0.0094, 0.4922)  5 O 2.34-2.59
Na (0.0018, 0.0005, 0.0023)  6 O 2.46-2.56
Na (0.6589, 0.3315, 0.8337)  6 O 2.42-2.55
Na (0.6686, 0.3339, 0.3328)  6 O 2.49-2.60
Na (0.3326, 0.6642, 0.1595)  5 O 2.37-2.65
Na (0.3417, 0.6641, 0.6634)  6 O 2.38-2.66
Nb (0.0029, 0.0033, 0.6441)  6 O 1.94-2.03
Nb (0.0045, 0.9998, 0.1406)  6 O 1.95-2.10
Nb (0.6624, 0.3345, 0.6881)  6 O 1.92-2.08
Nb (0.6691, 0.3322, 0.4739)  6 O 1.96-2.06
Nb (0.3313, 0.6679, 0.3133)  6 O 1.91-2.05
Nb (0.3339, 0.6749, 0.8122)  6 O 1.94-2.05
Si (0.2883, 0.0081, 0.2511)  4 O 1.62-1.65
Si (0.7179, 0.7115, 0.2497)  4 O 1.63-1.65
Si (0.9920, 0.2788, 0.2505)  4 O 1.63-1.65
Si (0.2893, 0.2849, 0.7542)  4 O 1.62-1.64
Si (0.9962, 0.7178, 0.7536)  4 O 1.63-1.65
Si (0.7159, 0.9977, 0.7527)  4 O 1.63-1.64
Si (0.9665, 0.3418, 0.5814)  4 O 1.61-1.66
Si (0.3775, 0.0409, 0.5802)  4 O 1.61-1.66
Si (0.6536, 0.6182, 0.5800)  4 O 1.61-1.66
Si (0.9515, 0.6103, 0.0818)  4 O 1.64-1.66
Si (0.3899, 0.3456, 0.0811)  4 O 1.64-1.66
Si (0.0400, 0.3729, 0.9196)  4 O 1.63-1.66
Si (0.3329, 0.9576, 0.9222)  4 O 1.62-1.66
Si (0.6316, 0.9515, 0.4180)  4 O 1.61-1.65
Si (0.0493, 0.6813, 0.4181)  4 O 1.61-1.66
Ge (0.9945, 0.9938, 0.3535)  6 O 1.88-2.09
Ge (0.0077, 0.0058, 0.8540)  5 O 1.84-1.97
Ge (0.6678, 0.3389, 0.1849)  6 O 1.85-1.99
Ge (0.6655, 0.3287, 0.9839)  5 O 1.82-1.98
Ge (0.3190, 0.6564, 0.0236)  5 O 1.86-2.05
Ge (0.3343, 0.6682, 0.5184)  6 O 1.88-1.98
P (0.6581, 0.0434, 0.0822)  4 O 1.55-1.56
P (0.6225, 0.6679, 0.9194)  4 O 1.54-1.56
P (0.3233, 0.3741, 0.4180)  4 O 1.52-1.57
O (0.2021, 0.0499, 0.3088)  1 Si 1.62
O (0.8447, 0.7948, 0.3083)  1 Si 1.63
O (0.9525, 0.1529, 0.3090)  1 Si 1.63
O (0.2053, 0.1713, 0.8154)  1 Si 1.63
O (0.9692, 0.8049, 0.8144)  1 Si 1.63
O (0.8402, 0.0360, 0.8125)  1 Si 1.64
O (0.8001, 0.9710, 0.6909)  1 Si 1.63
O (0.1627, 0.1963, 0.6952)  1 Si 1.64
O (0.0275, 0.8291, 0.6917)  1 Si 1.63
O (0.8001, 0.8403, 0.1916)  1 Si 1.63
O (0.0374, 0.1976, 0.1916)  1 Si 1.63
O (0.1608, 0.9606, 0.1919)  1 Si 1.64
O (0.8798, 0.3748, 0.6430)  1 Si 1.66
O (0.5045, 0.1324, 0.6400)  1 Si 1.66
O (0.6320, 0.5000, 0.6410)  1 Si 1.66
O (0.8664, 0.4973, 0.1439)  1 Si 1.64
O (0.6323, 0.1275, 0.1404)  1 P 1.56
O (0.5006, 0.3670, 0.1436)  1 Si 1.65
O (0.4696, 0.3039, 0.0204)  1 Si 1.64, 1 Ge 1.82
O (0.8329, 0.5266, 0.0206)  1 Si 1.64, 1 Ge 1.82
O (0.6930, 0.1566, 0.0241)  1 P 1.56
O (0.4693, 0.1682, 0.5236)  1 Si 1.61
O (0.7040, 0.5327, 0.5249)  1 Si 1.61
O (0.8293, 0.2981, 0.5259)  1 Si 1.63
O (0.5395, 0.7078, 0.9740)  1 P 1.54
O (0.1790, 0.4632, 0.9747)  1 Si 1.63
O (0.2916, 0.8192, 0.9766)  1 Si 1.62
O (0.5372, 0.8349, 0.4783)  1 Si 1.64
O (0.3004, 0.4663, 0.4735)  1 P 1.54
O (0.1663, 0.7014, 0.4782)  1 Si 1.64
O (0.1349, 0.6420, 0.3577)  1 Si 1.66
O (0.5077, 0.8606, 0.3578)  1 Si 1.65
O (0.3543, 0.4867, 0.3595)  1 P 1.57
O (0.1240, 0.4960, 0.8588)  1 Si 1.65
O (0.3726, 0.8712, 0.8618)  1 Si 1.66
O (0.5045, 0.6343, 0.8626)  1 P 1.56
O (0.0376, 0.8564, 0.4101)  1 Si 1.61
O (0.8227, 0.9730, 0.4106)  1 Si 1.61
O (0.1615, 0.1953, 0.4116)  1 P 1.52
O (0.0182, 0.1762, 0.9124)  1 Si 1.66
O (0.1560, 0.9739, 0.9135)  1 Si 1.65
O (0.8069, 0.8321, 0.9126)  1 P 1.56
O (0.9740, 0.1620, 0.5871)  1 Si 1.63
O (0.1824, 0.0140, 0.5873)  1 Si 1.63
O (0.8298, 0.8113, 0.5884)  1 Si 1.65
O (0.9687, 0.8050, 0.0866)  1 Si 1.66
O (0.8250, 0.0283, 0.0868)  1 P 1.55
O (0.1931, 0.1701, 0.0869)  1 Si 1.66
O (0.7024, 0.1744, 0.7467)  1 Si 1.63
O (0.4801, 0.3042, 0.7470)  1 Si 1.62
O (0.8314, 0.5196, 0.7484)  1 Si 1.63
O (0.6932, 0.5147, 0.2432)  1 Si 1.65
O (0.8202, 0.3033, 0.2422)  1 Si 1.65
O (0.4853, 0.1756, 0.2419)  1 Si 1.64
O (0.6404, 0.5021, 0.9221)  1 P 1.55
O (0.8446, 0.3535, 0.9250)  1 Si 1.65
O (0.5092, 0.1526, 0.9252)  1 Si 1.65
O (0.6414, 0.1423, 0.4205)  1 Si 1.65
O (0.4921, 0.3618, 0.4220)  1 P 1.55
O (0.8565, 0.5036, 0.4215)  1 Si 1.65
O (0.3731, 0.5218, 0.0750)  1 Si 1.64
O (0.1477, 0.6352, 0.0771)  1 Si 1.64
O (0.4943, 0.8612, 0.0757)  1 P 1.55
O (0.3603, 0.8489, 0.5769)  1 Si 1.63
O (0.4858, 0.6436, 0.5755)  1 Si 1.61
O (0.1538, 0.5166, 0.5746)  1 Si 1.61
O (0.3098, 0.8331, 0.2557)  1 Si 1.65
O (0.5202, 0.6853, 0.2556)  1 Si 1.65
O (0.1658, 0.4754, 0.2558)  1 Si 1.65
O (0.3019, 0.4750, 0.7580)  1 Si 1.63
O (0.1688, 0.6921, 0.7570)  1 Si 1.65
O (0.5232, 0.8253, 0.7570)  1 Si 1.63

***

Entry 2:
The following is a DFT calculation (PBE) of NaNbSi2GeSO12 after structural relaxation.

size of the total moment = 0.000 Bohr magnetons per cell
corrected total energy (MP2020 scheme) = -7.5929 eV/atom

Cell: 8.7952 8.7029 22.5887 Å, 91.92 90.00 120.35°
Last column: nearest neighbours and their distance in Å.
Fractional coordinates of all 108 atoms:
Na (0.0077, 0.0055, 0.4976)  5 O 2.42-2.62
Na (0.9978, 0.0055, 0.9976)  5 O 2.42-2.62
Na (0.6743, 0.3388, 0.8309)  5 O 2.42-2.62
Na (0.6645, 0.3388, 0.3309)  5 O 2.42-2.62
Na (0.3410, 0.6721, 0.1642)  5 O 2.42-2.62
Na (0.3311, 0.6721, 0.6642)  5 O 2.42-2.62
Nb (0.0003, 0.9953, 0.6443)  6 O 1.93-2.05
Nb (0.9950, 0.9953, 0.1443)  6 O 1.93-2.05
Nb (0.6670, 0.3286, 0.9777)  6 O 1.93-2.05
Nb (0.6616, 0.3286, 0.4777)  6 O 1.93-2.05
Nb (0.3337, 0.6619, 0.3110)  6 O 1.93-2.05
Nb (0.3283, 0.6619, 0.8110)  6 O 1.93-2.05
Si (0.2906, 0.0023, 0.2500)  4 O 1.62-1.64
Si (0.7202, 0.7090, 0.2506)  4 O 1.64-1.65
Si (0.9888, 0.7090, 0.7506)  4 O 1.64-1.65
Si (0.7117, 0.0023, 0.7500)  4 O 1.62-1.64
Si (0.9573, 0.3356, 0.5833)  4 O 1.62-1.64
Si (0.3869, 0.0423, 0.5839)  4 O 1.64-1.65
Si (0.6555, 0.0423, 0.0839)  4 O 1.64-1.65
Si (0.3783, 0.3356, 0.0833)  4 O 1.62-1.64
Si (0.6239, 0.6689, 0.9166)  4 O 1.62-1.64
Si (0.0535, 0.3757, 0.9173)  4 O 1.64-1.65
Si (0.3221, 0.3757, 0.4173)  4 O 1.64-1.65
Si (0.0450, 0.6689, 0.4166)  4 O 1.62-1.64
Ge (0.0246, 0.9851, 0.3540)  4 O 1.77-1.86
Ge (0.9605, 0.9851, 0.8540)  4 O 1.77-1.86
Ge (0.6912, 0.3184, 0.6874)  4 O 1.77-1.86
Ge (0.6272, 0.3184, 0.1874)  4 O 1.77-1.86
Ge (0.3579, 0.6517, 0.0207)  4 O 1.77-1.86
Ge (0.2939, 0.6517, 0.5207)  4 O 1.77-1.86
S (0.9909, 0.2833, 0.2512)  4 O 1.46-1.51
S (0.2924, 0.2833, 0.7512)  4 O 1.46-1.51
S (0.6575, 0.6167, 0.5845)  4 O 1.46-1.51
S (0.9591, 0.6167, 0.0845)  4 O 1.46-1.51
S (0.3242, 0.9500, 0.9179)  4 O 1.46-1.51
S (0.6258, 0.9500, 0.4179)  4 O 1.46-1.51
O (0.2094, 0.0439, 0.3088)  1 Si 1.62, 1 Ge 1.77
O (0.8407, 0.8101, 0.3103)  1 Si 1.64, 1 Ge 1.82
O (0.9679, 0.1800, 0.3037)  1 S 1.46
O (0.2122, 0.1800, 0.8037)  1 S 1.46
O (0.9694, 0.8101, 0.8103)  1 Si 1.64, 1 Ge 1.82
O (0.8345, 0.0439, 0.8088)  1 Si 1.62, 1 Ge 1.77
O (0.8049, 0.9706, 0.6920)  1 Si 1.63
O (0.1801, 0.2073, 0.6963)  1 S 1.49
O (0.0300, 0.8330, 0.6927)  1 Si 1.65
O (0.8030, 0.8330, 0.1927)  1 Si 1.65
O (0.0272, 0.2073, 0.1963)  1 S 1.49
O (0.1657, 0.9706, 0.1920)  1 Si 1.63
O (0.8760, 0.3772, 0.6422)  1 Si 1.62, 1 Ge 1.77
O (0.5073, 0.1434, 0.6436)  1 Si 1.64, 1 Ge 1.82
O (0.6345, 0.5134, 0.6371)  1 S 1.46
O (0.8788, 0.5134, 0.1371)  1 S 1.46
O (0.6361, 0.1434, 0.1436)  1 Si 1.64, 1 Ge 1.82
O (0.5012, 0.3772, 0.1422)  1 Si 1.62, 1 Ge 1.77
O (0.4716, 0.3040, 0.0253)  1 Si 1.63
O (0.8468, 0.5407, 0.0297)  1 S 1.49
O (0.6966, 0.1663, 0.0260)  1 Si 1.65
O (0.4697, 0.1663, 0.5260)  1 Si 1.65
O (0.6939, 0.5407, 0.5297)  1 S 1.49
O (0.8324, 0.3040, 0.5253)  1 Si 1.63
O (0.5427, 0.7106, 0.9755)  1 Si 1.62, 1 Ge 1.77
O (0.1740, 0.4767, 0.9769)  1 Si 1.64, 1 Ge 1.82
O (0.3012, 0.8467, 0.9704)  1 S 1.46
O (0.5455, 0.8467, 0.4704)  1 S 1.46
O (0.3027, 0.4767, 0.4769)  1 Si 1.64, 1 Ge 1.82
O (0.1678, 0.7106, 0.4755)  1 Si 1.62, 1 Ge 1.77
O (0.1382, 0.6373, 0.3586)  1 Si 1.63
O (0.5134, 0.8740, 0.3630)  1 S 1.49
O (0.3633, 0.4997, 0.3594)  1 Si 1.65
O (0.1364, 0.4997, 0.8594)  1 Si 1.65
O (0.3606, 0.8740, 0.8630)  1 S 1.49
O (0.4991, 0.6373, 0.8586)  1 Si 1.63
O (0.0210, 0.8420, 0.4108)  1 Si 1.63, 1 Ge 1.81
O (0.8020, 0.9764, 0.4100)  1 S 1.46
O (0.1427, 0.1799, 0.4068)  1 Si 1.64
O (0.0372, 0.1799, 0.9068)  1 Si 1.64
O (0.1744, 0.9764, 0.9100)  1 S 1.46
O (0.8211, 0.8420, 0.9108)  1 Si 1.63, 1 Ge 1.81
O (0.9760, 0.1597, 0.5909)  1 Si 1.64
O (0.1906, 0.0202, 0.5915)  1 Si 1.65
O (0.8242, 0.7965, 0.5882)  1 S 1.51
O (0.9723, 0.7965, 0.0882)  1 S 1.51
O (0.8296, 0.0202, 0.0915)  1 Si 1.65
O (0.1837, 0.1597, 0.0909)  1 Si 1.64
O (0.6876, 0.1754, 0.7442)  1 Si 1.63, 1 Ge 1.81
O (0.4686, 0.3097, 0.7434)  1 S 1.46
O (0.8094, 0.5132, 0.7402)  1 Si 1.64
O (0.7039, 0.5132, 0.2402)  1 Si 1.64
O (0.8411, 0.3097, 0.2434)  1 S 1.46
O (0.4877, 0.1754, 0.2442)  1 Si 1.63, 1 Ge 1.81
O (0.6427, 0.4930, 0.9243)  1 Si 1.64
O (0.8572, 0.3535, 0.9249)  1 Si 1.65
O (0.4909, 0.1298, 0.9216)  1 S 1.51
O (0.6390, 0.1298, 0.4216)  1 S 1.51
O (0.4963, 0.3535, 0.4249)  1 Si 1.65
O (0.8503, 0.4930, 0.4243)  1 Si 1.64
O (0.3543, 0.5087, 0.0775)  1 Si 1.63, 1 Ge 1.81
O (0.1353, 0.6430, 0.0767)  1 S 1.46
O (0.4760, 0.8466, 0.0735)  1 Si 1.64
O (0.3705, 0.8466, 0.5735)  1 Si 1.64
O (0.5078, 0.6430, 0.5767)  1 S 1.46
O (0.1544, 0.5087, 0.5775)  1 Si 1.63, 1 Ge 1.81
O (0.3093, 0.8263, 0.2576)  1 Si 1.64
O (0.5239, 0.6868, 0.2582)  1 Si 1.65
O (0.1575, 0.4632, 0.2549)  1 S 1.51
O (0.3056, 0.4632, 0.7549)  1 S 1.51
O (0.1629, 0.6868, 0.7582)  1 Si 1.65
O (0.5170, 0.8263, 0.7576)  1 Si 1.64

***

Entry 3:
The following is a DFT calculation (PBE) of Na4Nb2Si5Ge2SO24 after structural relaxation.

size of the total moment = 0.000 Bohr magnetons per cell
crystal system = triclinic
corrected total energy (MP2020 scheme) = -7.5385 eV/atom

Cell: 8.8223 8.8002 22.3412 Å, 90.64 89.49 119.92°
Last column: nearest neighbours and their distance in Å.
Fractional coordinates of all 114 atoms:
Na (0.6354, 0.9995, 0.2503)  4 O 2.33-2.52
Na (0.9970, 0.3639, 0.7502)  4 O 2.32-2.49
Na (0.3009, 0.3356, 0.5808)  5 O 2.36-2.56
Na (0.6677, 0.9697, 0.5807)  5 O 2.37-2.59
Na (0.0297, 0.3313, 0.0842)  4 O 2.30-2.53
Na (0.9655, 0.6671, 0.9156)  6 O 2.37-2.61
Na (0.9994, 0.9972, 0.4938)  6 O 2.39-2.64
Na (0.9923, 0.9974, 0.0012)  6 O 2.43-2.61
Na (0.6558, 0.3285, 0.8353)  6 O 2.49-2.59
Na (0.6623, 0.3375, 0.3337)  6 O 2.48-2.62
Na (0.3324, 0.6722, 0.1650)  6 O 2.51-2.63
Na (0.3317, 0.6740, 0.6649)  6 O 2.49-2.68
Nb (0.9990, 0.9945, 0.6459)  6 O 1.91-2.07
Nb (0.6640, 0.3348, 0.6881)  6 O 1.96-2.03
Nb (0.6742, 0.3312, 0.1898)  5 O 1.94-2.00
Nb (0.6574, 0.3247, 0.4763)  6 O 1.92-2.15
Nb (0.3400, 0.6659, 0.3088)  6 O 1.92-2.14
Nb (0.3378, 0.6575, 0.8127)  5 O 1.91-2.04
Si (0.2702, 0.9999, 0.2501)  4 O 1.62-1.67
Si (0.7285, 0.7202, 0.2524)  4 O 1.60-1.67
Si (0.0077, 0.2797, 0.2477)  4 O 1.62-1.67
Si (0.2829, 0.2738, 0.7538)  4 O 1.61-1.66
Si (0.0018, 0.7190, 0.7548)  4 O 1.62-1.65
Si (0.7084, 0.9973, 0.7514)  4 O 1.61-1.64
Si (0.9644, 0.3462, 0.5809)  4 O 1.62-1.65
Si (0.3730, 0.0318, 0.5813)  4 O 1.61-1.65
Si (0.6665, 0.6232, 0.5809)  4 O 1.60-1.65
Si (0.9656, 0.6362, 0.0821)  4 O 1.63-1.66
Si (0.6627, 0.0361, 0.0796)  4 O 1.64-1.66
Si (0.6253, 0.6638, 0.9213)  4 O 1.62-1.67
Si (0.0456, 0.3695, 0.9196)  4 O 1.63-1.67
Si (0.6289, 0.9474, 0.4168)  4 O 1.62-1.66
Si (0.3221, 0.3712, 0.4168)  4 O 1.62-1.65
Ge (0.9986, 0.0151, 0.3512)  5 O 1.82-1.91
Ge (0.9831, 0.0044, 0.8523)  5 O 1.80-1.96
Ge (0.9834, 0.9810, 0.1497)  4 O 1.79-1.89
Ge (0.6952, 0.3503, 0.9824)  4 O 1.81-1.93
Ge (0.3394, 0.6698, 0.0195)  4 O 1.82-1.93
Ge (0.3412, 0.6625, 0.5195)  5 O 1.85-1.93
S (0.3806, 0.3332, 0.0812)  4 O 1.48-1.52
S (0.3386, 0.9621, 0.9185)  4 O 1.46-1.51
S (0.0484, 0.6712, 0.4178)  4 O 1.46-1.50
O (0.1908, 0.0350, 0.3109)  1 Si 1.62
O (0.8428, 0.8061, 0.3115)  1 Si 1.60
O (0.9527, 0.1591, 0.3069)  1 Si 1.62
O (0.1888, 0.1550, 0.8113)  1 Si 1.61
O (0.9690, 0.8065, 0.8143)  1 Si 1.62
O (0.8377, 0.0451, 0.8082)  1 Si 1.62, 1 Ge 1.80
O (0.7932, 0.9658, 0.6903)  1 Si 1.64
O (0.1670, 0.2047, 0.6920)  1 Si 1.65
O (0.0325, 0.8356, 0.6942)  1 Si 1.65
O (0.7916, 0.8405, 0.1923)  1 Si 1.63, 1 Ge 1.79
O (0.0351, 0.1970, 0.1856)  1 Si 1.63
O (0.1569, 0.9659, 0.1894)  1 Si 1.63
O (0.8748, 0.3702, 0.6428)  1 Si 1.65
O (0.5017, 0.1257, 0.6394)  1 Si 1.65
O (0.6274, 0.4977, 0.6398)  1 Si 1.65
O (0.8670, 0.4978, 0.1378)  1 Si 1.66
O (0.6315, 0.1270, 0.1406)  1 Si 1.66
O (0.4872, 0.3629, 0.1356)  1 S 1.48
O (0.4631, 0.3056, 0.0269)  1 S 1.49
O (0.8432, 0.5498, 0.0222)  1 Si 1.65, 1 Ge 1.81
O (0.7030, 0.1761, 0.0242)  1 Si 1.66, 1 Ge 1.83
O (0.4631, 0.1676, 0.5257)  1 Si 1.63
O (0.7012, 0.5319, 0.5240)  1 Si 1.60
O (0.8287, 0.2975, 0.5259)  1 Si 1.62
O (0.5290, 0.7025, 0.9766)  1 Si 1.62, 1 Ge 1.82
O (0.1685, 0.4693, 0.9780)  1 Si 1.64
O (0.2988, 0.8433, 0.9717)  1 S 1.51
O (0.5338, 0.8336, 0.4776)  1 Si 1.65
O (0.2962, 0.4612, 0.4783)  1 Si 1.65
O (0.1560, 0.6964, 0.4724)  1 S 1.50
O (0.1270, 0.6396, 0.3633)  1 S 1.49
O (0.5030, 0.8666, 0.3580)  1 Si 1.64
O (0.3562, 0.5007, 0.3600)  1 Si 1.64
O (0.1279, 0.4989, 0.8605)  1 Si 1.66
O (0.3656, 0.8793, 0.8638)  1 S 1.49
O (0.5018, 0.6353, 0.8615)  1 Si 1.67
O (0.0285, 0.8252, 0.4133)  1 S 1.46
O (0.8219, 0.9688, 0.4097)  1 Si 1.62
O (0.1530, 0.1765, 0.4096)  1 Si 1.62
O (0.0278, 0.1771, 0.9105)  1 Si 1.63
O (0.1754, 0.9722, 0.9129)  1 S 1.49
O (0.8228, 0.8346, 0.9105)  1 Si 1.66
O (0.9805, 0.1685, 0.5890)  1 Si 1.65
O (0.1882, 0.0279, 0.5883)  1 Si 1.62
O (0.8341, 0.8188, 0.5875)  1 Si 1.62
O (0.9816, 0.8276, 0.0905)  1 Si 1.63
O (0.8468, 0.0327, 0.0888)  1 Si 1.65
O (0.2032, 0.1796, 0.0857)  1 S 1.48
O (0.6975, 0.1756, 0.7445)  1 Si 1.63
O (0.4787, 0.3054, 0.7460)  1 Si 1.61
O (0.8321, 0.5223, 0.7458)  1 Si 1.64
O (0.6924, 0.5212, 0.2426)  1 Si 1.63
O (0.8293, 0.2998, 0.2425)  1 Si 1.67
O (0.4742, 0.1680, 0.2421)  1 Si 1.67
O (0.6435, 0.4854, 0.9272)  1 Si 1.66
O (0.8523, 0.3594, 0.9242)  1 Si 1.67, 1 Ge 1.86
O (0.4938, 0.1347, 0.9247)  1 S 1.46
O (0.6473, 0.1436, 0.4230)  1 Si 1.66
O (0.5032, 0.3605, 0.4223)  1 Si 1.65
O (0.8728, 0.5088, 0.4224)  1 S 1.50
O (0.3601, 0.4940, 0.0775)  1 S 1.52
O (0.1530, 0.6367, 0.0733)  1 Si 1.66
O (0.4857, 0.8439, 0.0732)  1 Si 1.64
O (0.3606, 0.8439, 0.5730)  1 Si 1.61
O (0.4913, 0.6418, 0.5769)  1 Si 1.64
O (0.1596, 0.5141, 0.5745)  1 Si 1.62
O (0.3079, 0.8336, 0.2569)  1 Si 1.66
O (0.5299, 0.6992, 0.2566)  1 Si 1.67
O (0.1698, 0.4782, 0.2551)  1 Si 1.62
O (0.2997, 0.4701, 0.7577)  1 Si 1.66
O (0.1698, 0.6889, 0.7588)  1 Si 1.63
O (0.5156, 0.8278, 0.7577)  1 Si 1.61